# 1
Material: CaAg2O4
Method: DFT, PBE-GGA
State: optimized geometry

a b c (Å): 6.6488 6.6488 16.1276
angles (deg): 90.00 90.00 120.00
Space group R3m (No. 160, hexagonal axes)
Asymmetric unit:
1 Ca 0.0000 0.0000 0.0000 [3 per cell]
2 Ca 0.0000 0.0000 0.3962 [3 per cell]
3 Ag 0.0000 0.0000 0.6198 [3 per cell]
4 Ag 0.1677 0.3354 0.8354 [9 per cell]
5 O 0.0000 0.0000 0.2554 [3 per cell]
6 O 0.0000 0.0000 0.7513 [3 per cell]
7 O 0.0440 0.5220 0.7680 [9 per cell]
8 O 0.1839 0.3679 0.5650 [9 per cell]

Values from the calculation:
As for the formation energy: -1.14 eV/atom. Its excess energy over the best structure of this formula in the dataset is 205 meV per atom.


# 2
Material: K2Ag3Sb3S7
Method: DFT, PBE-GGA
State: optimized geometry

a b c (Å): 25.367 9.172 6.920
angles (deg): 90.00 90.00 90.00
Space group Cmc2_1 (No. 36)
Asymmetric unit:
1 K 0.207 0.191 0.000 [8 per cell]
2 Ag 0.000 0.180 0.689 [4 per cell]
3 Ag 0.090 0.007 0.442 [8 per cell]
4 Sb 0.000 0.342 0.144 [4 per cell]
5 Sb 0.128 0.390 0.500 [8 per cell]
6 S 0.000 0.119 0.342 [4 per cell]
7 S 0.074 0.268 0.934 [8 per cell]
8 S 0.171 0.153 0.506 [8 per cell]
9 S 0.188 0.494 0.242 [8 per cell]

Values from the calculation:
As for the formation energy: -0.68 eV/atom.


# 3
Material: AsNF6
Method: DFT, PBE-GGA
State: optimized geometry

a b c (Å): 7.2309 7.2309 7.3651
angles (deg): 90.00 90.00 120.00
Space group R-3 (No. 148, hexagonal axes)
Asymmetric unit:
1 As 0.0000 0.0000 0.0000 [3 per cell]
2 N 0.0000 0.0000 0.5000 [3 per cell]
3 F 0.0845 0.8575 0.1416 [18 per cell]

Values from the calculation:
As for the formation energy: -1.19 eV/atom.


# 4
Material: K2SnS6O21
Method: DFT, PBE-GGA
State: optimized geometry

a b c (Å): 10.1129 10.1129 11.0667
angles (deg): 90.00 90.00 120.00
Space group P-3 (No. 147)
Asymmetric unit:
1 K 0.3333 0.6667 0.3647 [2 per cell]
2 K 0.3333 0.6667 0.9400 [2 per cell]
3 Sn 0.0000 0.0000 0.2598 [2 per cell]
4 S 0.0566 0.7215 0.1577 [6 per cell]
5 S 0.1644 0.3557 0.6476 [6 per cell]
6 O 0.0024 0.3366 0.7017 [6 per cell]
7 O 0.0470 0.3910 0.9255 [6 per cell]
8 O 0.0513 0.8685 0.1463 [6 per cell]
9 O 0.0658 0.8764 0.6306 [6 per cell]
10 O 0.1524 0.7186 0.7367 [6 per cell]
11 O 0.1766 0.4241 0.5319 [6 per cell]
12 O 0.2107 0.7500 0.1637 [6 per cell]

Values from the calculation:
As for the formation energy: -1.90 eV/atom.


# 5
Material: Ba2CoS3
Method: DFT, PBE-GGA
State: optimized geometry

a b c (Å): 12.164 4.213 12.431
angles (deg): 90.00 90.00 90.00
Space group Pnma (No. 62)
Asymmetric unit:
1 Ba 0.011 0.250 0.174 [4 per cell]
2 Ba 0.173 0.250 0.522 [4 per cell]
3 Co 0.245 0.750 0.303 [4 per cell]
4 S 0.065 0.750 0.360 [4 per cell]
5 S 0.139 0.250 0.946 [4 per cell]
6 S 0.228 0.750 0.720 [4 per cell]

Values from the calculation:
As for the formation energy: -1.60 eV/atom.


# 6
Material: Ni3Hg
Method: DFT, PBE-GGA
State: optimized geometry

a b c (Å): 5.3363 5.3363 4.2702
angles (deg): 90.00 90.00 120.00
Space group P6_3/mmc (No. 194)
Asymmetric unit:
1 Ni 0.1556 0.3111 0.2500 [6 per cell]
2 Hg 0.3333 0.6667 0.7500 [2 per cell]

Values from the calculation:
As for the formation energy: 0.20 eV/atom.